Entry 1:
Computed, not measured: an optimized crystal structure of CaNbO12F2 at the PBE-GGA level of DFT.

As for the total energy: -4.813 eV per atom. The energy with MP2020 corrections comes out at -86.2 eV/f.u. The calculation puts the formation enthalpy at 0 K at -10.9 eV/f.u.

Cell: 7.5964 7.5964 7.5964 Å, 60.00 60.00 60.00°
Positions (direct):
Ca  0.1250  0.1250  0.1250
Ca  0.8750  0.8750  0.8750
Nb  0.3750  0.3750  0.3750
Nb  0.6250  0.6250  0.6250
O  0.1073  0.3529  0.3529
O  0.1073  0.3529  0.6868
O  0.1073  0.6868  0.3529
O  0.3132  0.6471  0.6471
O  0.3132  0.6471  0.8927
O  0.3132  0.8927  0.6471
O  0.3529  0.1073  0.3529
O  0.3529  0.1073  0.6868
O  0.3529  0.3529  0.1073
O  0.3529  0.3529  0.6868
O  0.3529  0.6868  0.1073
O  0.3529  0.6868  0.3529
O  0.6471  0.3132  0.6471
O  0.6471  0.3132  0.8927
O  0.6471  0.6471  0.3132
O  0.6471  0.6471  0.8927
O  0.6471  0.8927  0.3132
O  0.6471  0.8927  0.6471
O  0.6868  0.1073  0.3529
O  0.6868  0.3529  0.1073
O  0.6868  0.3529  0.3529
O  0.8927  0.3132  0.6471
O  0.8927  0.6471  0.3132
O  0.8927  0.6471  0.6471
F  0.0000  0.0000  0.0000
F  0.0000  0.0000  0.5000
F  0.0000  0.5000  0.0000
F  0.5000  0.0000  0.0000


Entry 2:
Computed, not measured: an optimized crystal structure of Ca2NbO6F at the PBE-GGA level of DFT.

As for the total energy: -6.477 eV per atom. The energy with MP2020 corrections comes out at -69.4 eV/f.u. The calculation puts the formation enthalpy at 0 K at -23.6 eV/f.u.

Cell: 7.3408 7.3408 7.3408 Å, 120.43 117.18 92.10°
Positions (direct):
Ca  0.0000  0.0000  0.0000
Ca  0.5000  0.0000  0.0000
Ca  0.5000  0.0000  0.5000
Ca  0.5000  0.5000  0.5000
Nb  0.0000  0.5000  0.5000
Nb  0.5000  0.5000  0.0000
O  0.0866  0.8366  0.2500
O  0.0878  0.4016  0.2532
O  0.0878  0.8346  0.6862
O  0.3222  0.5722  0.7500
O  0.3516  0.1654  0.7532
O  0.3516  0.5984  0.1862
O  0.6484  0.4016  0.8138
O  0.6484  0.8346  0.2468
O  0.6778  0.4278  0.2500
O  0.9122  0.1654  0.3138
O  0.9122  0.5984  0.7468
O  0.9134  0.1634  0.7500
F  0.3747  0.1247  0.2500
F  0.6253  0.8753  0.7500


Entry 3:
Computed, not measured: an optimized crystal structure of Ca2NdF7 at the PBE-GGA level of DFT.

As for the total energy: -6.060 eV per atom. The energy with MP2020 corrections comes out at -63.8 eV/f.u. The calculation puts the formation enthalpy at 0 K at -41.7 eV/f.u.

Cell: 3.9455 3.9455 30.7090 Å, 90.70 90.70 60.13°
Positions (direct):
Ca  0.0000  0.0000  0.0000
Ca  0.0313  0.0313  0.3133
Ca  0.3502  0.3502  0.2106
Ca  0.4002  0.4002  0.5215
Ca  0.6647  0.6647  0.1031
Ca  0.7191  0.7191  0.4172
Nd  0.0172  0.0172  0.6448
Nd  0.3315  0.3315  0.8919
Nd  0.6672  0.6672  0.7691
F  0.0020  0.0020  0.8069
F  0.0110  0.0110  0.7252
F  0.0188  0.0188  0.2342
F  0.0484  0.0484  0.3889
F  0.0693  0.0693  0.4932
F  0.3293  0.3293  0.0750
F  0.3334  0.3334  0.9709
F  0.3349  0.3349  0.7748
F  0.3500  0.3500  0.6827
F  0.3615  0.3615  0.2854
F  0.3718  0.3718  0.6007
F  0.3899  0.3899  0.4399
F  0.6656  0.6656  0.0235
F  0.6656  0.6656  0.9289
F  0.6683  0.6683  0.8483
F  0.6770  0.6770  0.1820
F  0.6859  0.6859  0.6469
F  0.7014  0.7014  0.3372
F  0.7366  0.7366  0.5432
F  0.9983  0.9983  0.8994
F  0.9994  0.9994  0.1250


Entry 4:
Computed, not measured: an optimized crystal structure of Sr3Ca2P3O12F at the PBE-GGA level of DFT.

As for the total energy: -7.130 eV per atom. The energy with MP2020 corrections comes out at -158.4 eV/f.u. The calculation puts the formation enthalpy at 0 K at -71.8 eV/f.u.

Cell: 7.1627 9.7265 9.7304 Å, 119.91 90.06 90.02°
Positions (direct):
Sr  0.0000  0.0000  0.0000
Sr  0.9998  0.2310  0.7401
Sr  0.2519  0.5772  0.6577
Sr  0.4988  0.2508  0.2325
Sr  0.7500  0.9111  0.3219
Sr  0.9987  0.4989  0.2332
Ca  0.2497  0.9115  0.3225
Ca  0.4990  0.4938  0.9912
Ca  0.4994  0.9970  0.7353
Ca  0.7489  0.5760  0.6562
P  0.0006  0.2763  0.3933
P  0.0024  0.6126  0.9610
P  0.0021  0.8454  0.6201
P  0.5004  0.6451  0.3599
P  0.5009  0.2107  0.5887
P  0.5018  0.8700  0.0183
O  0.0115  0.0945  0.3287
O  0.0123  0.7342  0.1414
O  0.0118  0.9039  0.4982
O  0.1775  0.3356  0.3463
O  0.1819  0.5088  0.9058
O  0.1820  0.8943  0.7245
O  0.3280  0.9791  0.0691
O  0.3287  0.1590  0.6489
O  0.3287  0.5829  0.2480
O  0.4869  0.1250  0.4044
O  0.4890  0.8297  0.4573
O  0.4902  0.7701  0.1030
O  0.5108  0.3939  0.6637
O  0.5106  0.5734  0.4707
O  0.5126  0.7635  0.8354
O  0.6740  0.5977  0.2497
O  0.6762  0.1458  0.6319
O  0.6771  0.9784  0.0834
O  0.8288  0.3184  0.3249
O  0.8303  0.5020  0.9230
O  0.8305  0.9181  0.7309
O  0.9850  0.3685  0.5774
O  0.9847  0.6610  0.5333
O  0.9848  0.7004  0.8639
F  0.0121  0.2445  0.9945
F  0.5050  0.2441  0.9717


Entry 5:
Computed, not measured: an optimized crystal structure of Ca5S3O12F at the PBE-GGA level of DFT.

As for the total energy: -6.114 eV per atom. The energy with MP2020 corrections comes out at -137.1 eV/f.u. The calculation puts the formation enthalpy at 0 K at -53.4 eV/f.u.

Cell: 9.6016 9.6016 6.9999 Å, 90.00 90.00 120.00°
Positions (direct):
Ca  0.0192  0.2581  0.2500
Ca  0.2389  0.9808  0.2500
Ca  0.2581  0.2389  0.7500
Ca  0.3333  0.6667  0.0063
Ca  0.3333  0.6667  0.4937
Ca  0.6667  0.3333  0.5063
Ca  0.6667  0.3333  0.9937
Ca  0.7419  0.7611  0.2500
Ca  0.7611  0.0192  0.7500
Ca  0.9808  0.7419  0.7500
S  0.0056  0.3952  0.7500
S  0.3896  0.9944  0.7500
S  0.3952  0.3896  0.2500
S  0.6048  0.6104  0.7500
S  0.6104  0.0056  0.2500
S  0.9944  0.6048  0.2500
O  0.0564  0.7197  0.0780
O  0.0564  0.7197  0.4220
O  0.1391  0.5396  0.2500
O  0.1986  0.4578  0.7500
O  0.2592  0.8014  0.7500
O  0.2803  0.3367  0.0780
O  0.2803  0.3367  0.4220
O  0.3367  0.0564  0.5780
O  0.3367  0.0564  0.9220
O  0.4005  0.8609  0.2500
O  0.4578  0.2592  0.2500
O  0.4604  0.5995  0.2500
O  0.5396  0.4005  0.7500
O  0.5422  0.7408  0.7500
O  0.5995  0.1391  0.7500
O  0.6633  0.9436  0.0780
O  0.6633  0.9436  0.4220
O  0.7197  0.6633  0.5780
O  0.7197  0.6633  0.9220
O  0.7408  0.1986  0.2500
O  0.8014  0.5422  0.2500
O  0.8609  0.4604  0.7500
O  0.9436  0.2803  0.5780
O  0.9436  0.2803  0.9220
F  0.0000  0.0000  0.2500
F  0.0000  0.0000  0.7500


Entry 6:
Computed, not measured: an optimized crystal structure of Ca10Si3S3O24F2 at the PBE-GGA level of DFT.

As for the total energy: -6.828 eV per atom. The energy with MP2020 corrections comes out at -304.2 eV/f.u. The calculation puts the formation enthalpy at 0 K at -132.9 eV/f.u.

Cell: 9.5486 9.5486 6.9883 Å, 90.00 90.00 120.00°
Positions (direct):
Ca  0.0000  0.0000  0.2233
Ca  0.0000  0.0000  0.7767
Ca  0.0842  0.4300  0.5000
Ca  0.0836  0.6584  0.0000
Ca  0.3416  0.4252  0.0000
Ca  0.3458  0.9158  0.5000
Ca  0.5700  0.6542  0.5000
Ca  0.5748  0.9164  0.0000
Ca  0.6667  0.3333  0.2259
Ca  0.6667  0.3333  0.7741
Si  0.3595  0.0572  0.0000
Si  0.6977  0.6405  0.0000
Si  0.9428  0.3023  0.0000
S  0.3011  0.2610  0.5000
S  0.7390  0.0401  0.5000
S  0.9599  0.6989  0.5000
O  0.0285  0.1898  0.0000
O  0.0670  0.7486  0.3294
O  0.0670  0.7486  0.6706
O  0.1613  0.9715  0.0000
O  0.2097  0.0796  0.5000
O  0.2514  0.3184  0.3294
O  0.2514  0.3184  0.6706
O  0.4214  0.0021  0.1919
O  0.4214  0.0021  0.8081
O  0.4542  0.2567  0.0000
O  0.4783  0.3218  0.5000
O  0.5808  0.5786  0.1919
O  0.5808  0.5786  0.8081
O  0.6782  0.1565  0.5000
O  0.6816  0.9330  0.3294
O  0.6816  0.9330  0.6706
O  0.7433  0.1975  0.0000
O  0.8025  0.5458  0.0000
O  0.8102  0.8387  0.0000
O  0.8435  0.5217  0.5000
O  0.8700  0.7903  0.5000
O  0.9204  0.1300  0.5000
O  0.9979  0.4192  0.1919
O  0.9979  0.4192  0.8081
F  0.3333  0.6667  0.0000
F  0.3333  0.6667  0.5000


Entry 7:
Computed, not measured: an optimized crystal structure of Ca2SiO4F at the PBE-GGA level of DFT.

As for the total energy: -6.785 eV per atom. The energy with MP2020 corrections comes out at -57.5 eV/f.u. The calculation puts the formation enthalpy at 0 K at -26.3 eV/f.u.

Cell: 5.9596 10.7256 6.6571 Å, 90.00 99.41 90.00°
Positions (direct):
Ca  0.1912  0.1900  0.1689
Ca  0.1912  0.3100  0.6689
Ca  0.2643  0.5849  0.0608
Ca  0.2643  0.9151  0.5608
Ca  0.7357  0.0849  0.4392
Ca  0.7357  0.4151  0.9392
Ca  0.8088  0.6900  0.3311
Ca  0.8088  0.8100  0.8311
Si  0.3348  0.6284  0.6111
Si  0.3348  0.8716  0.1111
Si  0.6652  0.1284  0.8889
Si  0.6652  0.3716  0.3889
O  0.1404  0.7120  0.7101
O  0.1404  0.7880  0.2101
O  0.1737  0.5833  0.3953
O  0.1737  0.9167  0.8953
O  0.4010  0.5070  0.7558
O  0.4010  0.9930  0.2558
O  0.4614  0.2217  0.9254
O  0.4614  0.2783  0.4254
O  0.5386  0.7217  0.5746
O  0.5386  0.7783  0.0746
O  0.5990  0.0070  0.7442
O  0.5990  0.4930  0.2442
O  0.8263  0.0833  0.1047
O  0.8263  0.4167  0.6047
O  0.8596  0.2120  0.7899
O  0.8596  0.2880  0.2899
F  0.1277  0.1126  0.5089
F  0.1277  0.3874  0.0089
F  0.8723  0.6126  0.9911
F  0.8723  0.8874  0.4911


Entry 8:
Computed, not measured: an optimized crystal structure of Ca3SiO4F at the PBE-GGA level of DFT.

As for the total energy: -6.604 eV per atom. The energy with MP2020 corrections comes out at -62.6 eV/f.u. The calculation puts the formation enthalpy at 0 K at -29.5 eV/f.u.

Cell: 5.4989 7.4301 12.3964 Å, 90.00 90.00 90.00°
Positions (direct):
Ca  0.2411  0.0061  0.1625
Ca  0.2411  0.4939  0.1625
Ca  0.2484  0.2500  0.4195
Ca  0.2516  0.7500  0.9195
Ca  0.2589  0.5061  0.6625
Ca  0.2589  0.9939  0.6625
Ca  0.7411  0.0061  0.3375
Ca  0.7411  0.4939  0.3375
Ca  0.7484  0.2500  0.0805
Ca  0.7516  0.7500  0.5805
Ca  0.7589  0.5061  0.8375
Ca  0.7589  0.9939  0.8375
Si  0.2206  0.7500  0.4122
Si  0.2794  0.2500  0.9122
Si  0.7206  0.7500  0.0878
Si  0.7794  0.2500  0.5878
O  0.0850  0.2500  0.5959
O  0.1639  0.2500  0.0368
O  0.1790  0.0660  0.8476
O  0.1790  0.4340  0.8476
O  0.3210  0.5660  0.3476
O  0.3210  0.9340  0.3476
O  0.3361  0.7500  0.5368
O  0.4150  0.7500  0.0959
O  0.5850  0.2500  0.9041
O  0.6639  0.2500  0.4632
O  0.6790  0.0660  0.6524
O  0.6790  0.4340  0.6524
O  0.8210  0.5660  0.1524
O  0.8210  0.9340  0.1524
O  0.8361  0.7500  0.9632
O  0.9150  0.7500  0.4041
F  0.0015  0.7500  0.7371
F  0.4985  0.2500  0.2371
F  0.5015  0.7500  0.7629
F  0.9985  0.2500  0.2629


Entry 9:
Computed, not measured: an optimized crystal structure of Ca4Si2O7F2 at the PBE-GGA level of DFT.

As for the total energy: -7.070 eV per atom. The energy with MP2020 corrections comes out at -111.8 eV/f.u. The calculation puts the formation enthalpy at 0 K at -54.4 eV/f.u.

Cell: 7.5957 10.6253 11.0479 Å, 90.00 109.46 90.00°
Positions (direct):
Ca  0.0291  0.0871  0.3152
Ca  0.0291  0.4129  0.8152
Ca  0.1632  0.6337  0.5836
Ca  0.1632  0.8663  0.0836
Ca  0.3315  0.1371  0.9276
Ca  0.3315  0.3629  0.4276
Ca  0.4689  0.5973  0.1989
Ca  0.4689  0.9027  0.6989
Ca  0.5311  0.0973  0.3011
Ca  0.5311  0.4027  0.8011
Ca  0.6685  0.6371  0.5724
Ca  0.6685  0.8629  0.0724
Ca  0.8368  0.1337  0.9164
Ca  0.8368  0.3663  0.4164
Ca  0.9709  0.5871  0.1848
Ca  0.9709  0.9129  0.6848
Si  0.2263  0.1907  0.6322
Si  0.2263  0.3093  0.1322
Si  0.3475  0.6888  0.8768
Si  0.3475  0.8112  0.3768
Si  0.6525  0.1888  0.6232
Si  0.6525  0.3112  0.1232
Si  0.7737  0.6907  0.8678
Si  0.7737  0.8093  0.3678
O  0.0895  0.2361  0.4912
O  0.0895  0.2639  0.9912
O  0.2145  0.0424  0.6642
O  0.2145  0.4576  0.1642
O  0.2218  0.7231  0.2581
O  0.2218  0.7769  0.7581
O  0.2289  0.2238  0.2564
O  0.2289  0.2762  0.7564
O  0.3029  0.5413  0.8389
O  0.3029  0.9587  0.3389
O  0.3598  0.7318  0.0217
O  0.3598  0.7682  0.5217
O  0.4358  0.2265  0.6209
O  0.4358  0.2735  0.1209
O  0.5642  0.7265  0.8791
O  0.5642  0.7735  0.3791
O  0.6402  0.2318  0.4783
O  0.6402  0.2682  0.9783
O  0.6971  0.0413  0.6611
O  0.6971  0.4587  0.1611
O  0.7711  0.7238  0.2436
O  0.7711  0.7762  0.7436
O  0.7782  0.2231  0.2419
O  0.7782  0.2769  0.7419
O  0.7855  0.5424  0.8358
O  0.7855  0.9576  0.3358
O  0.9105  0.7361  0.0088
O  0.9105  0.7639  0.5088
F  0.0756  0.9999  0.8964
F  0.0756  0.5001  0.3964
F  0.4299  0.5052  0.6024
F  0.4299  0.9948  0.1024
F  0.5701  0.0052  0.8976
F  0.5701  0.4948  0.3976
F  0.9244  0.0001  0.1036
F  0.9244  0.4999  0.6036